V2NiH6N2O6 (GGA+U, relaxed); space-group type = Pnma; ΔH_f (0 K) = -22.40 eV/f.u.; E = -411.99 eV for the cell shown; theoretical density = 2492 kg/m3
1.0
-5.553 -0.721 -0.781
-1.273 -1.990 10.886
-1.836 11.998 1.979
V Ni H N O
8 4 24 8 24
Cartesian
-2.045 0.809 5.974 V
-2.600 -0.059 10.719 V
-3.536 6.851 6.173 V
-2.981 7.718 1.428 V
-5.126 2.436 5.911 V
-5.681 1.569 10.656 V
-6.062 9.346 1.365 V
-6.617 8.478 6.110 V
-0.508 -0.041 2.783 Ni
-4.603 4.634 8.858 Ni
-4.058 4.654 3.226 Ni
-8.153 9.328 9.301 Ni
-1.907 3.957 9.050 H
-1.395 4.164 3.448 H
-2.705 3.073 7.960 H
-2.892 2.781 9.554 H
-2.058 3.146 2.363 H
-2.242 2.859 3.932 H
-4.031 7.833 10.331 H
-3.847 8.120 8.762 H
-3.660 9.712 5.032 H
-3.474 10.004 3.438 H
-5.013 8.900 9.590 H
-4.733 10.621 4.238 H
-3.928 -1.334 7.846 H
-3.648 0.388 2.494 H
-5.002 -0.425 7.052 H
-5.188 -0.716 8.646 H
-4.631 1.454 1.753 H
-4.814 1.168 3.322 H
-6.420 6.428 8.152 H
-6.604 6.141 9.721 H
-5.770 6.506 2.530 H
-5.956 6.215 4.124 H
-7.267 5.124 8.636 H
-6.755 5.330 3.034 H
-2.817 3.532 8.865 N
-2.235 3.621 3.250 N
-4.043 8.592 9.647 N
-3.730 10.444 4.323 N
-4.931 -1.157 7.761 N
-4.619 0.695 2.437 N
-6.427 5.666 8.834 N
-5.844 5.755 3.218 N
-6.661 1.451 5.946 O
-7.127 0.721 9.937 O
-1.685 -0.627 6.748 O
-2.018 -1.147 9.593 O
-1.363 1.271 1.381 O
-1.707 0.733 4.326 O
-3.758 6.166 7.695 O
-4.102 5.627 10.640 O
-3.166 6.211 2.126 O
-3.499 5.691 4.971 O
-4.398 8.776 1.850 O
-4.865 8.046 5.841 O
-3.797 1.241 6.243 O
-4.264 0.512 10.234 O
-5.163 3.596 7.113 O
-5.496 3.076 9.958 O
-4.560 3.660 1.444 O
-4.904 3.121 4.389 O
-6.955 8.555 7.758 O
-7.299 8.016 10.703 O
-6.644 10.435 2.491 O
-6.976 9.914 5.336 O
-1.534 8.566 2.147 O
-2.001 7.836 6.138 O